(A)
The following is a PBE calculation of a geometry-optimized MgSc2Nb2O8 structure, from Materials Project.

Unit cell a=5.116 b=5.926 c=5.176 alpha=90.00 beta=92.45 gamma=90.00
Sites, in units of the cell vectors:
Mg  0.000  0.000  0.000
Sc  0.000  0.471  0.000
Sc  0.000  0.742  0.500
Nb  0.500  0.255  0.500
Nb  0.500  0.965  0.000
O  0.217  0.746  0.849
O  0.237  0.469  0.346
O  0.256  0.221  0.843
O  0.262  0.978  0.324
O  0.738  0.978  0.676
O  0.744  0.221  0.157
O  0.763  0.469  0.654
O  0.783  0.746  0.151

* SG: P2



(B)
The following is a PBE calculation of a geometry-optimized MgSc2Nb2O8 structure, from Materials Project.

Unit cell a=5.131 b=5.955 c=5.142 alpha=90.00 beta=92.64 gamma=90.00
Sites, in units of the cell vectors:
Mg  0.000  0.000  0.000
Sc  0.500  0.261  0.500
Sc  0.500  0.927  0.000
Nb  0.000  0.466  0.000
Nb  0.000  0.724  0.500
O  0.216  0.740  0.163
O  0.233  0.475  0.665
O  0.245  0.967  0.680
O  0.256  0.225  0.152
O  0.744  0.225  0.848
O  0.755  0.967  0.320
O  0.767  0.475  0.335
O  0.784  0.740  0.837

* SG: P2



(C)
The following is a PBE calculation of a geometry-optimized MgSc2Nb2O8 structure, from Materials Project.

Unit cell a=5.277 b=5.309 c=6.217 alpha=83.56 beta=85.81 gamma=75.71
Sites, in units of the cell vectors:
Mg  0.000  0.000  0.000
Sc  0.398  0.241  0.088
Sc  0.889  0.160  0.470
Nb  0.386  0.671  0.517
Nb  0.797  0.647  0.764
O  0.028  0.369  0.993
O  0.041  0.462  0.543
O  0.098  0.888  0.711
O  0.178  0.962  0.274
O  0.525  0.429  0.800
O  0.546  0.418  0.314
O  0.627  0.917  0.507
O  0.660  0.915  0.981

* SG: P1



(C) wins, 0.012 eV/atom ahead of the next structure.



(A)
The following is a PBE calculation of a geometry-optimized Sm2MgNb2O8 structure, from Materials Project.

Unit cell a=7.973 b=7.973 c=5.313 alpha=105.52 beta=105.52 gamma=129.40
Sites, in units of the cell vectors:
Sm  0.000  0.000  0.000
Sm  0.681  0.319  0.500
Mg  0.351  0.649  0.500
Nb  0.154  0.846  0.500
Nb  0.510  0.490  0.000
O  0.038  0.527  0.481
O  0.255  0.412  0.099
O  0.312  0.209  0.526
O  0.359  0.121  0.976
O  0.473  0.962  0.519
O  0.588  0.745  0.901
O  0.791  0.688  0.474
O  0.879  0.641  0.024

* SG: C2



(B)
The following is a PBE calculation of a geometry-optimized Sm2MgNb2O8 structure, from Materials Project.

Unit cell a=6.931 b=6.931 c=5.406 alpha=112.66 beta=112.66 gamma=112.13
Sites, in units of the cell vectors:
Sm  0.000  0.000  0.000
Sm  0.743  0.257  0.500
Mg  0.298  0.702  0.000
Nb  0.280  0.720  0.500
Nb  0.530  0.470  0.000
O  0.019  0.662  0.609
O  0.076  0.402  0.033
O  0.205  0.374  0.593
O  0.338  0.981  0.391
O  0.408  0.225  0.088
O  0.598  0.924  0.967
O  0.626  0.795  0.407
O  0.775  0.592  0.912

* SG: C2



(A) wins, 0.096 eV/atom ahead of the next structure.



(A)
The following is a PBE calculation of a geometry-optimized Mg30NbSnO32 structure, from Materials Project.

Unit cell a=8.619 b=8.619 c=8.678 alpha=90.00 beta=90.00 gamma=90.00
Sites, in units of the cell vectors:
Mg  0.000  0.000  0.000
Mg  0.000  0.000  0.500
Mg  0.000  0.250  0.250
Mg  0.000  0.250  0.750
Mg  0.000  0.500  0.000
Mg  0.000  0.500  0.500
Mg  0.000  0.750  0.250
Mg  0.000  0.750  0.750
Mg  0.244  0.500  0.248
Mg  0.244  0.500  0.752
Mg  0.246  0.246  0.500
Mg  0.246  0.754  0.500
Mg  0.248  0.248  0.000
Mg  0.248  0.752  0.000
Mg  0.250  0.000  0.250
Mg  0.250  0.000  0.750
Mg  0.500  0.000  0.000
Mg  0.500  0.000  0.500
Mg  0.500  0.244  0.248
Mg  0.500  0.244  0.752
Mg  0.500  0.756  0.248
Mg  0.500  0.756  0.752
Mg  0.750  0.000  0.250
Mg  0.750  0.000  0.750
Mg  0.752  0.248  0.000
Mg  0.752  0.752  0.000
Mg  0.754  0.246  0.500
Mg  0.754  0.754  0.500
Mg  0.756  0.500  0.248
Mg  0.756  0.500  0.752
Nb  0.500  0.500  0.000
Sn  0.500  0.500  0.500
O  0.000  0.000  0.250
O  0.000  0.000  0.750
O  0.000  0.247  0.500
O  0.000  0.248  0.000
O  0.000  0.500  0.248
O  0.000  0.500  0.752
O  0.000  0.752  0.000
O  0.000  0.753  0.500
O  0.229  0.500  0.500
O  0.237  0.500  0.000
O  0.247  0.000  0.500
O  0.248  0.000  0.000
O  0.251  0.251  0.250
O  0.251  0.251  0.750
O  0.251  0.749  0.250
O  0.251  0.749  0.750
O  0.500  0.000  0.248
O  0.500  0.000  0.752
O  0.500  0.229  0.500
O  0.500  0.237  0.000
O  0.500  0.500  0.245
O  0.500  0.500  0.755
O  0.500  0.763  0.000
O  0.500  0.771  0.500
O  0.749  0.251  0.250
O  0.749  0.251  0.750
O  0.749  0.749  0.250
O  0.749  0.749  0.750
O  0.752  0.000  0.000
O  0.753  0.000  0.500
O  0.763  0.500  0.000
O  0.771  0.500  0.500

* SG: P4/mmm



(B)
The following is a PBE calculation of a geometry-optimized Mg30NbSnO32 structure, from Materials Project.

Unit cell a=8.632 b=8.632 c=8.626 alpha=90.00 beta=90.00 gamma=90.00
Sites, in units of the cell vectors:
Mg  0.000  0.000  0.000
Mg  0.000  0.252  0.248
Mg  0.000  0.252  0.752
Mg  0.000  0.500  0.000
Mg  0.000  0.500  0.500
Mg  0.000  0.748  0.248
Mg  0.000  0.748  0.752
Mg  0.246  0.500  0.246
Mg  0.246  0.500  0.754
Mg  0.248  0.248  0.500
Mg  0.248  0.752  0.500
Mg  0.250  0.250  0.000
Mg  0.250  0.750  0.000
Mg  0.252  0.000  0.248
Mg  0.252  0.000  0.752
Mg  0.500  0.000  0.000
Mg  0.500  0.000  0.500
Mg  0.500  0.246  0.246
Mg  0.500  0.246  0.754
Mg  0.500  0.500  0.000
Mg  0.500  0.754  0.246
Mg  0.500  0.754  0.754
Mg  0.748  0.000  0.248
Mg  0.748  0.000  0.752
Mg  0.750  0.250  0.000
Mg  0.750  0.750  0.000
Mg  0.752  0.248  0.500
Mg  0.752  0.752  0.500
Mg  0.754  0.500  0.246
Mg  0.754  0.500  0.754
Nb  0.000  0.000  0.500
Sn  0.500  0.500  0.500
O  0.000  0.000  0.238
O  0.000  0.000  0.762
O  0.000  0.251  0.000
O  0.000  0.260  0.500
O  0.000  0.500  0.246
O  0.000  0.500  0.754
O  0.000  0.740  0.500
O  0.000  0.749  0.000
O  0.231  0.500  0.500
O  0.247  0.500  0.000
O  0.250  0.250  0.251
O  0.250  0.250  0.749
O  0.250  0.750  0.251
O  0.250  0.750  0.749
O  0.251  0.000  0.000
O  0.260  0.000  0.500
O  0.500  0.000  0.246
O  0.500  0.000  0.754
O  0.500  0.231  0.500
O  0.500  0.247  0.000
O  0.500  0.500  0.230
O  0.500  0.500  0.770
O  0.500  0.753  0.000
O  0.500  0.769  0.500
O  0.740  0.000  0.500
O  0.749  0.000  0.000
O  0.750  0.250  0.251
O  0.750  0.250  0.749
O  0.750  0.750  0.251
O  0.750  0.750  0.749
O  0.753  0.500  0.000
O  0.769  0.500  0.500

* SG: P4/mmm



(B) wins, 0.006 eV/atom ahead of the next structure.



(A)
The following is a PBE calculation of a geometry-optimized MgTiNbO4 structure, from Materials Project.

Unit cell a=5.740 b=5.740 c=5.740 alpha=141.31 beta=136.60 gamma=59.53
Sites, in units of the cell vectors:
Mg  0.000  0.000  0.000
Ti  0.601  0.601  0.000
Nb  0.288  0.788  0.500
O  0.070  0.570  0.500
O  0.356  0.356  0.000
O  0.535  0.035  0.500
O  0.800  0.800  0.000

* SG: Imm2



(B)
The following is a PBE calculation of a geometry-optimized MgTiNbO4 structure, from Materials Project.

Unit cell a=5.158 b=5.158 c=4.204 alpha=113.92 beta=113.92 gamma=48.12
Sites, in units of the cell vectors:
Mg  0.000  0.000  0.000
Ti  0.250  0.250  0.748
Nb  0.500  0.500  0.500
O  0.242  0.242  0.240
O  0.500  0.500  0.000
O  0.758  0.758  0.756
O  0.999  0.999  0.499

* SG: Cm



(B) wins, 0.041 eV/atom ahead of the next structure.



(A)
The following is a PBE calculation of a geometry-optimized MgTi3Nb3O12 structure, from Materials Project.

Unit cell a=5.665 b=5.887 c=7.456 alpha=69.04 beta=71.44 gamma=77.16
Sites, in units of the cell vectors:
Mg  0.000  0.000  0.000
Ti  0.424  0.781  0.146
Ti  0.643  0.186  0.792
Ti  0.672  0.152  0.340
Nb  0.017  0.507  0.492
Nb  0.027  0.521  0.956
Nb  0.323  0.825  0.648
O  0.016  0.173  0.169
O  0.102  0.645  0.166
O  0.273  0.754  0.419
O  0.306  0.222  0.476
O  0.394  0.952  0.866
O  0.399  0.455  0.812
O  0.613  0.033  0.107
O  0.648  0.515  0.138
O  0.728  0.807  0.493
O  0.765  0.294  0.505
O  0.910  0.353  0.802
O  0.938  0.890  0.797

* SG: P1



(B)
The following is a PBE calculation of a geometry-optimized MgTi3Nb3O12 structure, from Materials Project.

Unit cell a=5.690 b=5.897 c=7.644 alpha=112.23 beta=98.94 gamma=105.66
Sites, in units of the cell vectors:
Mg  0.000  0.000  0.000
Ti  0.322  0.514  0.340
Ti  0.366  0.946  0.802
Ti  0.674  0.473  0.697
Nb  0.652  0.032  0.228
Nb  0.993  0.004  0.510
Nb  0.996  0.509  0.017
O  0.047  0.181  0.320
O  0.086  0.694  0.334
O  0.259  0.328  0.059
O  0.275  0.827  0.026
O  0.395  0.173  0.678
O  0.434  0.666  0.645
O  0.573  0.318  0.391
O  0.615  0.790  0.363
O  0.714  0.166  0.003
O  0.734  0.696  0.987
O  0.932  0.292  0.718
O  0.990  0.817  0.712

* SG: P1



(A) wins, 0.005 eV/atom ahead of the next structure.



(A)
The following is a PBE calculation of a geometry-optimized Mg6TiNbO8 structure, from Materials Project.

Unit cell a=4.335 b=4.335 c=8.682 alpha=90.00 beta=90.00 gamma=90.00
Sites, in units of the cell vectors:
Mg  0.000  0.000  0.000
Mg  0.000  0.000  0.500
Mg  0.000  0.500  0.249
Mg  0.000  0.500  0.751
Mg  0.500  0.000  0.249
Mg  0.500  0.000  0.751
Ti  0.500  0.500  0.000
Nb  0.500  0.500  0.500
O  0.000  0.000  0.250
O  0.000  0.000  0.750
O  0.000  0.500  0.000
O  0.000  0.500  0.500
O  0.500  0.000  0.000
O  0.500  0.000  0.500
O  0.500  0.500  0.240
O  0.500  0.500  0.760

* SG: P4/mmm



(B)
The following is a PBE calculation of a geometry-optimized Mg6TiNbO8 structure, from Materials Project.

Unit cell a=4.290 b=4.290 c=8.769 alpha=90.00 beta=90.00 gamma=90.00
Sites, in units of the cell vectors:
Mg  0.000  0.000  0.000
Mg  0.000  0.500  0.244
Mg  0.000  0.500  0.756
Mg  0.500  0.000  0.244
Mg  0.500  0.000  0.756
Mg  0.500  0.500  0.000
Ti  0.000  0.000  0.500
Nb  0.500  0.500  0.500
O  0.000  0.000  0.244
O  0.000  0.000  0.756
O  0.000  0.500  0.000
O  0.000  0.500  0.500
O  0.500  0.000  0.000
O  0.500  0.000  0.500
O  0.500  0.500  0.237
O  0.500  0.500  0.763

* SG: P4/mmm



(B) wins, 0.076 eV/atom ahead of the next structure.



(A)
The following is a PBE calculation of a geometry-optimized RbMg14Nb structure, from Materials Project.

Unit cell a=10.368 b=6.505 c=6.505 alpha=61.86 beta=90.00 gamma=90.00
Sites, in units of the cell vectors:
Rb  0.000  0.000  0.000
Mg  0.000  0.499  0.998
Mg  0.000  0.998  0.499
Mg  0.241  0.658  0.658
Mg  0.256  0.181  0.647
Mg  0.256  0.647  0.181
Mg  0.266  0.171  0.171
Mg  0.500  0.497  0.497
Mg  0.500  0.501  0.991
Mg  0.500  0.991  0.501
Mg  0.500  0.994  0.994
Mg  0.734  0.171  0.171
Mg  0.744  0.181  0.647
Mg  0.744  0.647  0.181
Mg  0.759  0.658  0.658
Nb  0.000  0.484  0.484

* SG: Amm2



(B)
The following is a PBE calculation of a geometry-optimized RbMg14Nb structure, from Materials Project.

Unit cell a=6.561 b=6.561 c=10.363 alpha=90.00 beta=90.00 gamma=120.00
Sites, in units of the cell vectors:
Rb  0.000  0.000  0.000
Mg  0.009  0.505  0.000
Mg  0.168  0.336  0.270
Mg  0.168  0.336  0.730
Mg  0.168  0.832  0.270
Mg  0.168  0.832  0.730
Mg  0.495  0.505  0.000
Mg  0.495  0.991  0.000
Mg  0.502  0.004  0.500
Mg  0.502  0.498  0.500
Mg  0.664  0.832  0.270
Mg  0.664  0.832  0.730
Mg  0.667  0.333  0.245
Mg  0.667  0.333  0.755
Mg  0.996  0.498  0.500
Nb  0.000  0.000  0.500

* SG: P-6m2



(B) wins, 0.030 eV/atom ahead of the next structure.